1.
SbSeCl7O: optimized geometry, PBE.

Cell lengths 15.2115, 12.8660, 13.6905 Å; angles 74.01, 90.00, 90.00 degrees
Sites, in units of the cell vectors:
1 Cl 0.9000 0.3613 0.8841
2 Cl 0.0287 0.1349 0.3937
3 Cl 0.1088 0.3864 0.3535
4 Cl 0.9512 0.6516 0.3662
5 Cl 0.8609 0.6117 0.1542
6 Cl 0.1661 0.5944 0.5186
7 Cl 0.7241 0.3618 0.0956
8 Cl 0.4092 0.3928 0.9765
9 Cl 0.3752 0.5916 0.6990
10 Cl 0.3492 0.3550 0.3958
11 Cl 0.0908 0.8928 0.9765
12 Cl 0.4512 0.8484 0.6338
13 Cl 0.6000 0.8613 0.8841
14 Cl 0.5229 0.8231 0.1665
15 Cl 0.6248 0.4084 0.3010
16 Cl 0.6661 0.9056 0.4814
17 Cl 0.9092 0.1072 0.0235
18 Cl 0.2723 0.3097 0.6682
19 Cl 0.2759 0.6382 0.9044
20 Cl 0.3727 0.6111 0.1789
21 Cl 0.8492 0.1450 0.6042
22 Cl 0.5908 0.6072 0.0235
23 Cl 0.1391 0.3883 0.8458
24 Cl 0.3339 0.0944 0.5186
25 Cl 0.0488 0.3484 0.6338
26 Cl 0.8339 0.4056 0.4814
27 Cl 0.6508 0.6450 0.6042
28 Cl 0.7995 0.6321 0.8656
29 Cl 0.6391 0.1117 0.1542
30 Cl 0.2005 0.3679 0.1344
31 Cl 0.3609 0.8883 0.8458
32 Cl 0.7005 0.1321 0.8656
33 Cl 0.4000 0.1387 0.1159
34 Cl 0.6088 0.1136 0.6465
35 Cl 0.5287 0.3651 0.6063
36 Cl 0.1248 0.0916 0.6990
37 Cl 0.7277 0.6903 0.3318
38 Cl 0.8727 0.8889 0.8211
39 Cl 0.1273 0.1111 0.1789
40 Cl 0.4713 0.6349 0.3937
41 Cl 0.2995 0.8679 0.1344
42 Cl 0.1000 0.6387 0.1159
43 Cl 0.7723 0.1903 0.3318
44 Cl 0.4771 0.1769 0.8335
45 Cl 0.7759 0.8618 0.0956
46 Cl 0.5488 0.1516 0.3662
47 Cl 0.0229 0.6769 0.8335
48 Cl 0.8912 0.6136 0.6465
49 Cl 0.8752 0.9084 0.3010
50 Cl 0.3912 0.8864 0.3535
51 Cl 0.6273 0.3889 0.8211
52 Cl 0.9713 0.8651 0.6063
53 Cl 0.2241 0.1382 0.9044
54 Cl 0.2277 0.8097 0.6682
55 Cl 0.1508 0.8550 0.3958
56 Cl 0.9771 0.3231 0.1665
57 O 0.0250 0.1870 0.8492
58 O 0.7743 0.8078 0.6593
59 O 0.2743 0.6922 0.3407
60 O 0.5250 0.3130 0.1508
61 O 0.9750 0.8130 0.1508
62 O 0.4750 0.6870 0.8492
63 O 0.7257 0.3078 0.6593
64 O 0.2257 0.1922 0.3407
65 Se 0.5020 0.7379 0.9488
66 Se 0.4980 0.2621 0.0512
67 Se 0.9980 0.2379 0.9488
68 Se 0.7490 0.2688 0.5519
69 Se 0.2510 0.7312 0.4481
70 Se 0.0020 0.7621 0.0512
71 Se 0.2490 0.2312 0.4481
72 Se 0.7510 0.7688 0.5519
73 Sb 0.3572 0.7440 0.7626
74 Sb 0.8926 0.7469 0.7432
75 Sb 0.8572 0.7560 0.2374
76 Sb 0.6074 0.2469 0.7432
77 Sb 0.3926 0.7531 0.2568
78 Sb 0.1428 0.2440 0.7626
79 Sb 0.1074 0.2531 0.2568
80 Sb 0.6428 0.2560 0.2374


2.
Ta2Cr3Si: optimized geometry, PBE.

Cell lengths 4.8631, 4.8631, 8.0968 Å; angles 90.00, 90.00, 120.00 degrees
Sites, in units of the cell vectors:
1 Ta 0.3333 0.6667 0.0650
2 Ta 0.6667 0.3333 0.9350
3 Ta 0.3333 0.6667 0.4350
4 Ta 0.6667 0.3333 0.5650
5 Cr 0.1719 0.8281 0.7500
6 Cr 0.3438 0.1719 0.2500
7 Cr 0.8281 0.6562 0.2500
8 Cr 0.6562 0.8281 0.7500
9 Cr 0.8281 0.1719 0.2500
10 Cr 0.1719 0.3438 0.7500
11 Si 0.0000 0.0000 0.5000
12 Si 0.0000 0.0000 0.0000


3.
CeDy4S7: optimized geometry, PBE.

Cell lengths 6.7835, 6.7835, 11.6999 Å; angles 75.91, 75.91, 32.80 degrees
Sites, in units of the cell vectors:
1 S 0.9573 0.9573 0.7853
2 S 0.7376 0.7376 0.6544
3 S 0.0447 0.0447 0.2096
4 S 0.2531 0.2531 0.3489
5 S 0.6593 0.6593 0.9493
6 S 0.5041 0.5041 0.5040
7 S 0.3422 0.3422 0.0498
8 Dy 0.3009 0.3009 0.8131
9 Dy 0.1135 0.1135 0.5816
10 Dy 0.0002 0.0002 0.9980
11 Dy 0.6997 0.6997 0.1855
12 Ce 0.8874 0.8874 0.4206


In kJ/mol of formula units, the formation energy from the elements values for the records above are, in order, -660.0 -212.5 -2695.1.
In eV per atom, the energy values for the records above are, in order, -3.167 -10.062 -6.477.